# 1
Mo2S4N after structural relaxation, computed with PBE-GGA.

Unit cell a=6.592 b=6.592 c=6.592 alpha=100.92 beta=100.92 gamma=128.39
Atoms (fractional coordinates):
Mo 0.250 0.750 0.500
S 0.818 0.607 0.425
S 0.393 0.818 0.211
N 0.000 0.000 0.000
S 0.607 0.182 0.789
S 0.182 0.393 0.575
Mo 0.750 0.250 0.500

Values from the calculation:
The energy of formation comes out at 0.2 eV/f.u. Its space group is I4/m (87).

***

# 2
EuIn4Cu after structural relaxation, computed with PBE-GGA.

Unit cell a=8.815 b=8.815 c=7.425 alpha=90.00 beta=90.00 gamma=149.76
Atoms (fractional coordinates):
In 0.927 0.073 0.250
In 0.500 0.500 0.500
Cu 0.770 0.230 0.250
Cu 0.230 0.770 0.750
Eu 0.121 0.879 0.250
In 0.685 0.315 0.950
Eu 0.879 0.121 0.750
In 0.315 0.685 0.050
In 0.315 0.685 0.450
In 0.685 0.315 0.550
In 0.500 0.500 0.000
In 0.073 0.927 0.750

Values from the calculation:
The energy of formation comes out at -1.6 eV/f.u. Its space group is Cmcm (63).

***

Question: energy of formation of number 2 (EuIn4Cu)?
Answer: -1.6 eV/f.u.

***

Question: What is the formula in the first record?
Answer: Mo2S4N

***

Repeat the first record exactly.
Mo2S4N after structural relaxation, computed with PBE-GGA.

Unit cell a=6.592 b=6.592 c=6.592 alpha=100.92 beta=100.92 gamma=128.39
Atoms (fractional coordinates):
Mo 0.250 0.750 0.500
S 0.818 0.607 0.425
S 0.393 0.818 0.211
N 0.000 0.000 0.000
S 0.607 0.182 0.789
S 0.182 0.393 0.575
Mo 0.750 0.250 0.500

Values from the calculation:
The energy of formation comes out at 0.2 eV/f.u. Its space group is I4/m (87).

***

Question: The lowest energy of formation belongs to which entry?
Answer: EuIn4Cu